VASP calculation (GGA+U) on crystalline MnP4H16N2O16 at its relaxed geometry.

a = 7.116 Å, b = 7.511 Å, c = 7.907 Å
α = 99.50°, β = 108.33°, γ = 88.29°
Fractional positions:
P  0.833  0.253  0.256
P  0.248  0.205  0.256
P  0.167  0.747  0.744
P  0.752  0.795  0.744
O  0.205  0.618  0.881
O  0.241  0.691  0.585
O  0.571  0.766  0.563
O  0.429  0.234  0.437
O  0.755  0.654  0.860
O  0.234  0.010  0.161
O  0.930  0.766  0.654
O  0.252  0.941  0.845
O  0.070  0.234  0.346
O  0.759  0.309  0.415
O  0.795  0.382  0.119
O  0.245  0.346  0.140
O  0.766  0.990  0.839
O  0.748  0.059  0.155
O  0.941  0.278  0.769
O  0.059  0.722  0.231
H  0.327  0.396  0.821
H  0.553  0.307  0.893
H  0.424  0.275  0.668
H  0.881  0.295  0.642
H  0.564  0.266  0.420
H  0.436  0.734  0.580
H  0.650  0.831  0.190
H  0.758  0.026  0.023
H  0.881  0.166  0.784
H  0.447  0.693  0.107
H  0.576  0.725  0.332
H  0.350  0.169  0.810
H  0.119  0.834  0.216
H  0.119  0.705  0.358
H  0.242  0.974  0.977
H  0.673  0.604  0.179
N  0.586  0.713  0.202
N  0.414  0.287  0.798
Mn  0.000  0.500  0.000

Calculated density   2.0 g/cm3
Formation enthalpy at 0 K   -1.692 eV per atom
Calculated total energy   -234.276 eV/cell